Below is K2InSbF6 after structural relaxation, with properties calculated at the GGA-PBE level.

Computed properties:
- calculated density (g cm⁻³) = 3.3
- formation energy (eV/atom) = -2.584
- space-group type = Fm-3m (225)
- electronic total energy (eV/cell) = -43.653

Cell lengths 6.7647, 6.7647, 6.7647 Å; angles 60.00, 60.00, 60.00 degrees
Fractional coordinates of all 10 atoms:
K (0.2500, 0.2500, 0.2500)
K (0.7500, 0.7500, 0.7500)
In (0.0000, 0.0000, 0.0000)
Sb (0.5000, 0.5000, 0.5000)
F (0.2696, 0.2696, 0.7304)
F (0.2696, 0.7304, 0.2696)
F (0.2696, 0.7304, 0.7304)
F (0.7304, 0.2696, 0.2696)
F (0.7304, 0.2696, 0.7304)
F (0.7304, 0.7304, 0.2696)

***

Below is MgSb2F12 after structural relaxation, with properties calculated at the GGA-PBE level.

Computed properties:
- calculated density (g cm⁻³) = 3.2
- formation energy (eV/atom) = -2.727
- space-group type = P-4m2 (115)
- electronic total energy (eV/cell) = -68.191

Cell lengths 5.9136, 5.9136, 7.3112 Å; angles 90.00, 90.00, 90.00 degrees
Fractional coordinates of all 15 atoms:
Mg (0.0000, 0.0000, 0.0000)
Sb (0.0000, 0.5000, 0.2223)
Sb (0.5000, 0.0000, 0.7777)
F (0.0000, 0.5000, 0.4797)
F (0.0000, 0.5000, 0.9631)
F (0.2094, 0.2490, 0.2006)
F (0.2094, 0.7510, 0.2006)
F (0.2490, 0.2094, 0.7994)
F (0.2490, 0.7906, 0.7994)
F (0.5000, 0.0000, 0.0369)
F (0.5000, 0.0000, 0.5203)
F (0.7510, 0.2094, 0.7994)
F (0.7510, 0.7906, 0.7994)
F (0.7906, 0.2490, 0.2006)
F (0.7906, 0.7510, 0.2006)

***

Below is NdB3O6 after structural relaxation, with properties calculated at the GGA-PBE level.

Computed properties:
- calculated density (g cm⁻³) = 4.7
- formation energy (eV/atom) = -3.175
- space-group type = Pnma (62)
- energy above the most stable polymorph in this dataset (eV per formula unit) = 0.00
- electronic total energy (eV/cell) = -1313.997

Cell lengths 16.3483, 7.5479, 12.5662 Å; angles 90.00, 90.00, 90.00 degrees
Fractional coordinates of all 160 atoms:
Nd (0.0472, 0.2500, 0.0861)
Nd (0.1204, 0.7500, 0.5050)
Nd (0.1261, 0.7500, 0.2232)
Nd (0.1704, 0.2500, 0.4303)
Nd (0.3296, 0.7500, 0.9303)
Nd (0.3739, 0.2500, 0.7232)
Nd (0.3796, 0.2500, 0.0050)
Nd (0.4528, 0.7500, 0.5861)
Nd (0.5472, 0.2500, 0.4139)
Nd (0.6204, 0.7500, 0.9950)
Nd (0.6261, 0.7500, 0.2768)
Nd (0.6704, 0.2500, 0.0697)
Nd (0.8296, 0.7500, 0.5697)
Nd (0.8739, 0.2500, 0.7768)
Nd (0.8796, 0.2500, 0.4950)
Nd (0.9528, 0.7500, 0.9139)
B (0.0280, 0.0622, 0.3193)
B (0.0280, 0.4378, 0.3193)
B (0.0595, 0.0732, 0.8445)
B (0.0595, 0.4268, 0.8445)
B (0.1109, 0.0777, 0.6458)
B (0.1109, 0.4223, 0.6458)
B (0.1552, 0.5743, 0.9811)
B (0.1552, 0.9257, 0.9811)
B (0.2170, 0.0711, 0.8128)
B (0.2170, 0.4289, 0.8128)
B (0.2434, 0.0684, 0.1300)
B (0.2434, 0.4316, 0.1300)
B (0.2566, 0.5684, 0.6300)
B (0.2566, 0.9316, 0.6300)
B (0.2830, 0.5711, 0.3128)
B (0.2830, 0.9289, 0.3128)
B (0.3448, 0.0743, 0.4811)
B (0.3448, 0.4257, 0.4811)
B (0.3891, 0.5777, 0.1458)
B (0.3891, 0.9223, 0.1458)
B (0.4405, 0.5732, 0.3445)
B (0.4405, 0.9268, 0.3445)
B (0.4720, 0.5622, 0.8193)
B (0.4720, 0.9378, 0.8193)
B (0.5280, 0.0622, 0.1807)
B (0.5280, 0.4378, 0.1807)
B (0.5595, 0.0732, 0.6555)
B (0.5595, 0.4268, 0.6555)
B (0.6109, 0.0777, 0.8542)
B (0.6109, 0.4223, 0.8542)
B (0.6552, 0.5743, 0.5189)
B (0.6552, 0.9257, 0.5189)
B (0.7170, 0.0711, 0.6872)
B (0.7170, 0.4289, 0.6872)
B (0.7434, 0.0684, 0.3700)
B (0.7434, 0.4316, 0.3700)
B (0.7566, 0.5684, 0.8700)
B (0.7566, 0.9316, 0.8700)
B (0.7830, 0.5711, 0.1872)
B (0.7830, 0.9289, 0.1872)
B (0.8448, 0.0743, 0.0189)
B (0.8448, 0.4257, 0.0189)
B (0.8891, 0.5777, 0.3542)
B (0.8891, 0.9223, 0.3542)
B (0.9405, 0.5732, 0.1555)
B (0.9405, 0.9268, 0.1555)
B (0.9720, 0.5622, 0.6807)
B (0.9720, 0.9378, 0.6807)
O (0.0169, 0.5151, 0.2082)
O (0.0169, 0.9849, 0.2082)
O (0.0471, 0.2500, 0.8912)
O (0.0502, 0.5607, 0.6250)
O (0.0502, 0.9393, 0.6250)
O (0.0592, 0.2500, 0.3018)
O (0.0732, 0.5493, 0.9336)
O (0.0732, 0.9507, 0.9336)
O (0.0799, 0.2500, 0.6107)
O (0.0928, 0.5364, 0.3720)
O (0.0928, 0.9636, 0.3720)
O (0.1300, 0.0726, 0.7659)
O (0.1300, 0.4274, 0.7659)
O (0.1615, 0.7500, 0.0326)
O (0.1668, 0.0577, 0.0676)
O (0.1668, 0.4423, 0.0676)
O (0.1851, 0.0350, 0.5815)
O (0.1851, 0.4650, 0.5815)
O (0.2183, 0.5558, 0.8994)
O (0.2183, 0.9442, 0.8994)
O (0.2253, 0.5128, 0.2318)
O (0.2253, 0.9872, 0.2318)
O (0.2258, 0.7500, 0.6361)
O (0.2448, 0.2500, 0.8496)
O (0.2552, 0.7500, 0.3496)
O (0.2742, 0.2500, 0.1361)
O (0.2747, 0.0128, 0.7318)
O (0.2747, 0.4872, 0.7318)
O (0.2817, 0.0558, 0.3994)
O (0.2817, 0.4442, 0.3994)
O (0.3149, 0.5350, 0.0815)
O (0.3149, 0.9650, 0.0815)
O (0.3332, 0.5577, 0.5676)
O (0.3332, 0.9423, 0.5676)
O (0.3385, 0.2500, 0.5326)
O (0.3700, 0.5726, 0.2659)
O (0.3700, 0.9274, 0.2659)
O (0.4072, 0.0364, 0.8720)
O (0.4072, 0.4636, 0.8720)
O (0.4201, 0.7500, 0.1107)
O (0.4268, 0.0493, 0.4336)
O (0.4268, 0.4507, 0.4336)
O (0.4408, 0.7500, 0.8018)
O (0.4498, 0.0607, 0.1250)
O (0.4498, 0.4393, 0.1250)
O (0.4529, 0.7500, 0.3912)
O (0.4831, 0.0151, 0.7082)
O (0.4831, 0.4849, 0.7082)
O (0.5169, 0.5151, 0.2918)
O (0.5169, 0.9849, 0.2918)
O (0.5471, 0.2500, 0.6088)
O (0.5502, 0.5607, 0.8750)
O (0.5502, 0.9393, 0.8750)
O (0.5592, 0.2500, 0.1982)
O (0.5732, 0.5493, 0.5664)
O (0.5732, 0.9507, 0.5664)
O (0.5799, 0.2500, 0.8893)
O (0.5928, 0.5364, 0.1280)
O (0.5928, 0.9636, 0.1280)
O (0.6300, 0.0726, 0.7341)
O (0.6300, 0.4274, 0.7341)
O (0.6615, 0.7500, 0.4674)
O (0.6668, 0.0577, 0.4324)
O (0.6668, 0.4423, 0.4324)
O (0.6851, 0.0350, 0.9185)
O (0.6851, 0.4650, 0.9185)
O (0.7183, 0.5558, 0.6006)
O (0.7183, 0.9442, 0.6006)
O (0.7253, 0.5128, 0.2682)
O (0.7253, 0.9872, 0.2682)
O (0.7258, 0.7500, 0.8639)
O (0.7448, 0.2500, 0.6504)
O (0.7552, 0.7500, 0.1504)
O (0.7742, 0.2500, 0.3639)
O (0.7747, 0.0128, 0.7682)
O (0.7747, 0.4872, 0.7682)
O (0.7817, 0.0558, 0.1006)
O (0.7817, 0.4442, 0.1006)
O (0.8149, 0.5350, 0.4185)
O (0.8149, 0.9650, 0.4185)
O (0.8332, 0.5577, 0.9324)
O (0.8332, 0.9423, 0.9324)
O (0.8385, 0.2500, 0.9674)
O (0.8700, 0.5726, 0.2341)
O (0.8700, 0.9274, 0.2341)
O (0.9072, 0.0364, 0.6280)
O (0.9072, 0.4636, 0.6280)
O (0.9201, 0.7500, 0.3893)
O (0.9268, 0.0493, 0.0664)
O (0.9268, 0.4507, 0.0664)
O (0.9408, 0.7500, 0.6982)
O (0.9498, 0.0607, 0.3750)
O (0.9498, 0.4393, 0.3750)
O (0.9529, 0.7500, 0.1088)
O (0.9831, 0.0151, 0.7918)
O (0.9831, 0.4849, 0.7918)

***

Below is BaZnAsF after structural relaxation, with properties calculated at the GGA-PBE level.

Computed properties:
- calculated density (g cm⁻³) = 5.5
- formation energy (eV/atom) = -1.992
- space-group type = P4/nmm (129)
- electronic total energy (eV/cell) = -34.513

Cell lengths 4.2992, 4.2992, 9.6217 Å; angles 90.00, 90.00, 90.00 degrees
Fractional coordinates of all 8 atoms:
Ba (0.2500, 0.2500, 0.1645)
Ba (0.7500, 0.7500, 0.8355)
Zn (0.2500, 0.7500, 0.5000)
Zn (0.7500, 0.2500, 0.5000)
As (0.2500, 0.2500, 0.6566)
As (0.7500, 0.7500, 0.3434)
F (0.2500, 0.7500, 0.0000)
F (0.7500, 0.2500, 0.0000)

***

Below is TbB2Ir2 after structural relaxation, with properties calculated at the GGA-PBE level.

Computed properties:
- calculated density (g cm⁻³) = 12.6
- formation energy (eV/atom) = -0.745
- space-group type = Fddd (70)
- electronic total energy (eV/cell) = -78.792

Cell lengths 7.2008, 6.2007, 5.4968 Å; angles 75.72, 56.57, 47.71 degrees
Fractional coordinates of all 10 atoms:
Tb (0.1250, 0.1250, 0.1250)
Tb (0.8750, 0.8750, 0.8750)
B (0.1950, 0.5550, 0.1950)
B (0.4450, 0.8050, 0.4450)
B (0.5550, 0.1950, 0.5550)
B (0.8050, 0.4450, 0.8050)
Ir (0.2481, 0.2481, 0.5019)
Ir (0.4981, 0.4981, 0.7519)
Ir (0.5019, 0.5019, 0.2481)
Ir (0.7519, 0.7519, 0.4981)

***

Below is Na3LiGa4Si8O24 after structural relaxation, with properties calculated at the GGA-PBE level.

Computed properties:
- calculated density (g cm⁻³) = 3.7
- formation energy (eV/atom) = -2.864
- space-group type = P2 (3)
- electronic total energy (eV/cell) = -278.203

Cell lengths 5.3419, 8.7819, 9.4872 Å; angles 90.00, 103.84, 90.00 degrees
Fractional coordinates of all 40 atoms:
Na (0.0000, 0.0000, 0.0000)
Na (0.0000, 0.0957, 0.5000)
Na (0.5000, 0.5004, 0.5000)
Li (0.5000, 0.5784, 0.0000)
Ga (0.0000, 0.3996, 0.0000)
Ga (0.0000, 0.6993, 0.5000)
Ga (0.5000, 0.1983, 0.0000)
Ga (0.5000, 0.8967, 0.5000)
Si (0.1944, 0.3902, 0.7093)
Si (0.1977, 0.7068, 0.2067)
Si (0.3046, 0.8872, 0.7925)
Si (0.3070, 0.2071, 0.2905)
Si (0.6930, 0.2071, 0.7095)
Si (0.6954, 0.8872, 0.2075)
Si (0.8023, 0.7068, 0.7933)
Si (0.8056, 0.3902, 0.2907)
O (0.0850, 0.7898, 0.8528)
O (0.0880, 0.3062, 0.3501)
O (0.1934, 0.5568, 0.6398)
O (0.2053, 0.5402, 0.1363)
O (0.2281, 0.2196, 0.1113)
O (0.2283, 0.8759, 0.6130)
O (0.2731, 0.7187, 0.3861)
O (0.2757, 0.3829, 0.8889)
O (0.3053, 0.0563, 0.8590)
O (0.3060, 0.0396, 0.3590)
O (0.4107, 0.2904, 0.6482)
O (0.4152, 0.8035, 0.1446)
O (0.5848, 0.8035, 0.8554)
O (0.5893, 0.2904, 0.3518)
O (0.6940, 0.0396, 0.6410)
O (0.6947, 0.0563, 0.1410)
O (0.7243, 0.3829, 0.1111)
O (0.7269, 0.7187, 0.6139)
O (0.7719, 0.2196, 0.8887)
O (0.7717, 0.8759, 0.3870)
O (0.7947, 0.5402, 0.8637)
O (0.8066, 0.5568, 0.3602)
O (0.9120, 0.3062, 0.6499)
O (0.9150, 0.7898, 0.1472)

***

Below is RuN2 after structural relaxation, with properties calculated at the GGA-PBE level.

Computed properties:
- calculated density (g cm⁻³) = 8.2
- formation energy (eV/atom) = 0.613
- space-group type = P4/mbm (127)
- electronic total energy (eV/cell) = -46.774

Cell lengths 4.4214, 4.4214, 2.6819 Å; angles 90.00, 90.00, 90.00 degrees
Fractional coordinates of all 6 atoms:
Ru (0.0000, 0.0000, 0.0000)
Ru (0.5000, 0.5000, 0.0000)
N (0.1056, 0.3944, 0.5000)
N (0.3944, 0.8944, 0.5000)
N (0.6056, 0.1056, 0.5000)
N (0.8944, 0.6056, 0.5000)

***

Below is Na2Ca9NdY5HoF41 after structural relaxation, with properties calculated at the GGA-PBE level.

Computed properties:
- calculated density (g cm⁻³) = 3.8
- formation energy (eV/atom) = -4.202
- space-group type = P1 (1)
- electronic total energy (eV/cell) = -369.866

Cell lengths 9.7767, 10.4195, 10.4355 Å; angles 110.50, 107.74, 108.19 degrees
Fractional coordinates of all 59 atoms:
Na (0.0000, 0.0000, 0.0000)
Na (0.4343, 0.4721, 0.7712)
Ca (0.1202, 0.3555, 0.9436)
Ca (0.1829, 0.0515, 0.4048)
Ca (0.2793, 0.4118, 0.3600)
Ca (0.3918, 0.7825, 0.3218)
Ca (0.4873, 0.1465, 0.2563)
Ca (0.6120, 0.5339, 0.2281)
Ca (0.6582, 0.2053, 0.6702)
Ca (0.8212, 0.2615, 0.0987)
Ca (0.9758, 0.3254, 0.5270)
Nd (0.9138, 0.6400, 0.0183)
Y (0.0612, 0.6730, 0.4488)
Y (0.2363, 0.7159, 0.8995)
Y (0.3807, 0.1179, 0.8406)
Y (0.7291, 0.5622, 0.6139)
Y (0.8502, 0.9395, 0.5681)
Ho (0.7035, 0.8929, 0.1480)
F (0.0147, 0.4117, 0.3539)
F (0.0684, 0.2819, 0.1144)
F (0.1258, 0.8391, 0.0211)
F (0.1355, 0.7813, 0.2891)
F (0.1422, 0.6243, 0.6453)
F (0.1776, 0.6199, 0.0544)
F (0.1876, 0.2923, 0.4956)
F (0.1969, 0.4641, 0.7941)
F (0.2467, 0.1470, 0.2518)
F (0.2527, 0.9177, 0.6089)
F (0.2808, 0.6551, 0.4325)
F (0.3377, 0.3138, 0.9346)
F (0.3440, 0.9590, 0.9326)
F (0.3652, 0.5262, 0.2038)
F (0.3845, 0.2025, 0.6730)
F (0.4269, 0.0487, 0.4172)
F (0.4530, 0.8877, 0.1573)
F (0.4817, 0.7369, 0.9221)
F (0.4919, 0.5293, 0.5987)
F (0.5144, 0.3949, 0.3461)
F (0.5673, 0.2652, 0.0981)
F (0.6081, 0.1355, 0.8465)
F (0.6244, 0.9560, 0.5589)
F (0.6362, 0.7969, 0.2985)
F (0.6725, 0.7033, 0.5016)
F (0.6747, 0.4476, 0.7775)
F (0.6749, 0.6367, 0.0583)
F (0.7027, 0.3112, 0.5122)
F (0.7310, 0.1406, 0.2623)
F (0.7781, 0.0152, 0.0296)
F (0.8089, 0.7394, 0.8527)
F (0.8218, 0.5310, 0.4321)
F (0.8614, 0.5245, 0.1853)
F (0.8843, 0.3741, 0.9369)
F (0.9005, 0.2094, 0.6650)
F (0.9147, 0.0522, 0.4198)
F (0.9297, 0.8095, 0.4055)
F (0.9401, 0.8945, 0.1696)
F (0.9545, 0.5562, 0.7759)
F (0.9903, 0.0852, 0.8215)
F (0.9936, 0.8288, 0.6719)

***

> Which of these has the lowest formation energy?

Na2Ca9NdY5HoF41

***

> Which of these has the highest electronic total energy?

BaZnAsF

***

> What is the formula in the fifth record?

TbB2Ir2